Record 1
# Cu10Sn3 | the Materials Project database | GGA-PBE | optimized geometry
data_Cu10Sn3
_symmetry_space_group_name_H-M 'P -3 1 m'
_symmetry_Int_Tables_number 162
_symmetry_space_group_name_Hall '-P 3 2'
_cell_length_a 7.2248
_cell_length_b 7.2248
_cell_length_c 8.7803
_cell_angle_alpha 90.00
_cell_angle_beta 90.00
_cell_angle_gamma 120.00
loop_
_atom_site_label
_atom_site_fract_x
_atom_site_fract_y
_atom_site_fract_z
Cu1 0.0000 0.0000 0.1612
Cu2 0.0000 0.2720 0.4086
Cu3 0.0000 0.3166 0.7327
Cu4 0.0000 0.3181 0.0548
Sn1 0.3333 0.6667 0.1668
Sn2 0.3333 0.6667 0.5000
# - Energy of formation: 0.193 eV/atom
# - M_tot: 0.00 μB per atom
# - Energy above the lowest structure with this stoichiometry: 182 meV/atom


Record 2
# NaLa2Ge2P3S3O24 | the Materials Project database | GGA-PBE | optimized geometry
data_NaLa2Ge2P3S3O24
_symmetry_space_group_name_H-M 'P 1'
_symmetry_Int_Tables_number 1
_symmetry_space_group_name_Hall 'P 1'
_cell_length_a 8.906
_cell_length_b 8.951
_cell_length_c 23.029
_cell_angle_alpha 89.02
_cell_angle_beta 88.70
_cell_angle_gamma 60.46
loop_
_atom_site_label
_atom_site_fract_x
_atom_site_fract_y
_atom_site_fract_z
Na1 0.000 0.000 0.000
Na2 0.031 0.957 0.496
Na3 0.338 0.315 0.321
La1 0.013 0.988 0.847
La2 0.031 0.988 0.153
La3 0.032 0.970 0.651
La4 0.032 0.977 0.344
La5 0.356 0.313 0.467
La6 0.360 0.307 0.961
Ge1 0.361 0.337 0.181
Ge2 0.379 0.306 0.671
Ge3 0.673 0.676 0.519
Ge4 0.694 0.645 0.311
Ge5 0.701 0.635 0.021
Ge6 0.701 0.647 0.815
P1 0.028 0.317 0.246
P2 0.363 0.651 0.248
P3 0.386 0.594 0.577
P4 0.421 0.908 0.412
P5 0.640 0.334 0.078
P6 0.649 0.010 0.578
P7 0.714 0.892 0.917
P8 0.944 0.375 0.915
P9 0.944 0.660 0.414
S1 0.030 0.639 0.747
S2 0.052 0.603 0.079
S3 0.053 0.339 0.584
S4 0.365 0.980 0.747
S5 0.387 0.996 0.078
S6 0.419 0.667 0.913
S7 0.688 0.318 0.746
S8 0.690 0.984 0.246
S9 0.706 0.373 0.412
O1 0.018 0.781 0.085
O2 0.024 0.191 0.594
O3 0.061 0.719 0.798
O4 0.080 0.194 0.299
O5 0.110 0.381 0.912
O6 0.119 0.494 0.408
O7 0.139 0.499 0.133
O8 0.153 0.354 0.635
O9 0.156 0.300 0.530
O10 0.157 0.527 0.027
O11 0.184 0.470 0.734
O12 0.195 0.333 0.231
O13 0.235 0.934 0.416
O14 0.237 0.722 0.301
O15 0.239 0.777 0.590
O16 0.240 0.961 0.082
O17 0.245 0.821 0.913
O18 0.248 0.016 0.798
O19 0.285 0.771 0.195
O20 0.294 0.935 0.697
O21 0.344 0.526 0.524
O22 0.359 0.103 0.026
O23 0.380 0.138 0.735
O24 0.384 0.468 0.237
O25 0.398 0.081 0.132
O26 0.411 0.509 0.910
O27 0.412 0.473 0.632
O28 0.417 0.081 0.404
O29 0.502 0.676 0.856
O30 0.502 0.823 0.472
O31 0.504 0.675 0.966
O32 0.511 0.797 0.358
O33 0.516 0.139 0.235
O34 0.516 0.329 0.733
O35 0.523 0.355 0.135
O36 0.533 0.104 0.635
O37 0.544 0.832 0.759
O38 0.547 0.362 0.406
O39 0.547 0.619 0.261
O40 0.549 0.063 0.915
O41 0.554 0.827 0.073
O42 0.562 0.304 0.025
O43 0.562 0.596 0.569
O44 0.574 0.119 0.525
O45 0.642 0.510 0.073
O46 0.651 0.835 0.574
O47 0.652 0.496 0.759
O48 0.660 0.838 0.259
O49 0.697 0.470 0.465
O50 0.722 0.802 0.858
O51 0.726 0.449 0.356
O52 0.726 0.790 0.973
O53 0.760 0.201 0.796
O54 0.766 0.025 0.296
O55 0.803 0.944 0.194
O56 0.808 0.247 0.696
O57 0.824 0.183 0.087
O58 0.833 0.978 0.587
O59 0.843 0.454 0.973
O60 0.844 0.458 0.858
O61 0.844 0.674 0.358
O62 0.855 0.655 0.475
O63 0.859 0.199 0.417
O64 0.876 0.912 0.918
O65 0.878 0.608 0.759
O66 0.882 0.502 0.261
O67 0.883 0.602 0.076
O68 0.889 0.500 0.580
O69 0.964 0.822 0.417
O70 0.971 0.190 0.916
O71 0.979 0.243 0.195
O72 0.982 0.757 0.697
# - Energy of formation: -2.462 eV/atom
# - M_tot: 0.00 μB per atom


Record 3
# NpAl4 | the Materials Project database | GGA-PBE | optimized geometry
data_NpAl4
_symmetry_space_group_name_H-M 'I m m a'
_symmetry_Int_Tables_number 74
_symmetry_space_group_name_Hall '-I 2b 2'
_cell_length_a 4.422
_cell_length_b 6.144
_cell_length_c 13.825
_cell_angle_alpha 90.00
_cell_angle_beta 90.00
_cell_angle_gamma 90.00
loop_
_atom_site_label
_atom_site_fract_x
_atom_site_fract_y
_atom_site_fract_z
Np1 0.000 0.250 0.109
Al1 0.000 0.000 0.500
Al2 0.000 0.020 0.699
Al3 0.000 0.250 0.887
# - Energy of formation: -0.104 eV/atom


Record 4
# BP5Pb6O20 | the Materials Project database | GGA-PBE | optimized geometry
data_BP5Pb6O20
_symmetry_space_group_name_H-M 'P -4'
_symmetry_Int_Tables_number 81
_symmetry_space_group_name_Hall 'P -4'
_cell_length_a 7.055
_cell_length_b 7.055
_cell_length_c 10.113
_cell_angle_alpha 90.00
_cell_angle_beta 90.00
_cell_angle_gamma 90.00
loop_
_atom_site_label
_atom_site_fract_x
_atom_site_fract_y
_atom_site_fract_z
B1 0.000 0.000 0.000
P1 0.169 0.766 0.196
P2 0.500 0.500 0.500
Pb1 0.000 0.500 0.479
Pb2 0.271 0.663 0.815
O1 0.020 0.704 0.299
O2 0.033 0.826 0.076
O3 0.073 0.299 0.751
O4 0.295 0.605 0.139
O5 0.352 0.389 0.415
# - Energy of formation: -2.409 eV/atom
# - M_tot: 0.00 μB per atom